A relaxed K3GaSe3 crystal. Source: Materials Project, functional r2SCAN.

Cell: 12.970 8.075 10.565 Å, 52.42 90.00 90.00°
Atoms (fractional coordinates):
K1 0.909 0.339 0.395
K2 0.409 0.661 0.105
K3 0.091 0.661 0.605
K4 0.591 0.339 0.895
K5 0.190 0.131 0.584
K6 0.690 0.869 0.916
K7 0.810 0.869 0.416
K8 0.310 0.131 0.084
K9 0.622 0.374 0.474
K10 0.122 0.626 0.026
K11 0.378 0.626 0.526
K12 0.878 0.374 0.974
Ga1 0.939 0.065 0.835
Ga2 0.439 0.935 0.665
Ga3 0.061 0.935 0.165
Ga4 0.561 0.065 0.335
Se1 0.391 0.159 0.376
Se2 0.891 0.841 0.124
Se3 0.609 0.841 0.624
Se4 0.109 0.159 0.876
Se5 0.680 0.350 0.187
Se6 0.180 0.650 0.313
Se7 0.320 0.650 0.813
Se8 0.820 0.350 0.687
Se9 0.549 0.872 0.234
Se10 0.049 0.128 0.266
Se11 0.451 0.128 0.766
Se12 0.951 0.872 0.734

A relaxed PuO2 crystal. Source: Materials Project, functional r2SCAN.

Cell: 3.796 3.796 3.796 Å, 60.00 60.00 60.00°
Atoms (fractional coordinates):
Pu1 0.000 0.000 0.000
O1 0.750 0.750 0.750
O2 0.250 0.250 0.250

A relaxed YbGa2Pd crystal. Source: Materials Project, functional r2SCAN.

Cell: 5.440 5.440 6.526 Å, 90.00 90.00 132.81°
Atoms (fractional coordinates):
Yb1 0.587 0.413 0.250
Yb2 0.413 0.587 0.750
Ga1 0.873 0.127 0.053
Ga2 0.127 0.873 0.553
Ga3 0.127 0.873 0.947
Ga4 0.873 0.127 0.447
Pd1 0.298 0.702 0.250
Pd2 0.702 0.298 0.750

A relaxed CeUO4 crystal. Source: Materials Project, functional r2SCAN.

Cell: 3.842 3.842 5.449 Å, 90.00 90.00 90.00°
Atoms (fractional coordinates):
Ce1 0.000 0.000 0.000
U1 0.500 0.500 0.500
O1 0.500 0.000 0.739
O2 0.000 0.500 0.261
O3 0.500 0.000 0.261
O4 0.000 0.500 0.739

A relaxed LiV3O4 crystal. Source: Materials Project, functional r2SCAN.

Output
E above lowest polymorph, meV/atom: 0

Cell: 4.185 7.842 5.146 Å, 89.67 113.97 74.55°
Atoms (fractional coordinates):
Li1 0.000 0.000 0.000
Li2 0.500 0.500 0.500
V1 0.750 0.750 0.250
V2 0.625 0.125 0.375
V3 0.875 0.375 0.125
V4 0.250 0.250 0.750
V5 0.125 0.625 0.875
V6 0.375 0.875 0.625
O1 0.500 0.000 0.000
O2 0.000 0.500 0.500
O3 0.750 0.250 0.750
O4 0.250 0.750 0.250
O5 0.624 0.624 0.873
O6 0.124 0.124 0.373
O7 0.376 0.376 0.127
O8 0.876 0.876 0.627

A relaxed CeThS2 crystal. Source: Materials Project, functional r2SCAN.

Cell: 4.066 4.066 5.746 Å, 90.00 90.00 90.00°
Atoms (fractional coordinates):
Ce1 0.000 0.000 0.000
Th1 0.500 0.500 0.500
S1 0.000 0.000 0.500
S2 0.500 0.500 0.000

A relaxed Pr4RuI5 crystal. Source: Materials Project, functional r2SCAN.

Cell: 4.304 9.362 10.065 Å, 103.96 102.35 90.00°
Atoms (fractional coordinates):
Pr1 0.360 0.927 0.721
Pr2 0.640 0.073 0.279
Pr3 0.000 0.214 0.000
Pr4 0.000 0.786 0.000
Ru1 0.500 0.000 0.000
I1 0.500 0.500 0.000
I2 0.173 0.831 0.345
I3 0.827 0.169 0.655
I4 0.831 0.657 0.662
I5 0.169 0.343 0.338

A relaxed Li2US3 crystal. Source: Materials Project, functional r2SCAN.

Cell: 6.727 6.727 6.503 Å, 80.08 80.08 120.03°
Atoms (fractional coordinates):
Li1 0.000 0.000 0.000
Li2 0.500 0.500 0.500
Li3 0.835 0.165 0.500
Li4 0.165 0.835 0.500
U1 0.667 0.333 0.000
U2 0.333 0.667 0.000
S1 0.259 0.259 0.253
S2 0.424 0.083 0.752
S3 0.083 0.424 0.752
S4 0.741 0.741 0.747
S5 0.576 0.917 0.248
S6 0.917 0.576 0.248

A relaxed NaCuF3 crystal. Source: Materials Project, functional r2SCAN.

Cell: 5.513 5.289 9.313 Å, 57.61 90.00 90.00°
Atoms (fractional coordinates):
Na1 0.565 0.281 0.241
Na2 0.435 0.719 0.759
Na3 0.065 0.719 0.259
Na4 0.935 0.281 0.741
Cu1 0.000 0.500 0.000
Cu2 0.500 0.000 0.000
Cu3 0.000 0.000 0.500
Cu4 0.500 0.500 0.500
F1 0.292 0.633 0.053
F2 0.708 0.367 0.947
F3 0.191 0.275 0.934
F4 0.809 0.725 0.066
F5 0.309 0.275 0.434
F6 0.691 0.725 0.566
F7 0.208 0.633 0.553
F8 0.792 0.367 0.447
F9 0.958 0.115 0.273
F10 0.042 0.885 0.727
F11 0.458 0.885 0.227
F12 0.542 0.115 0.773

A relaxed Co2CuGe2 crystal. Source: Materials Project, functional r2SCAN.

Cell: 3.827 4.959 6.622 Å, 90.00 90.00 90.00°
Atoms (fractional coordinates):
Co1 0.500 0.250 0.159
Co2 0.500 0.750 0.841
Co3 0.500 0.500 0.500
Co4 0.500 0.000 0.500
Cu1 0.000 0.000 0.000
Cu2 0.000 0.500 0.000
Ge1 0.000 0.250 0.379
Ge2 0.000 0.750 0.621
Ge3 0.500 0.250 0.803
Ge4 0.500 0.750 0.197

A relaxed UNiB4 crystal. Source: Materials Project, functional r2SCAN.

Cell: 6.805 6.805 6.804 Å, 113.11 113.11 102.43°
Atoms (fractional coordinates):
U1 0.200 0.200 0.000
U2 0.800 0.800 0.000
U3 0.750 0.250 0.500
U4 0.250 0.750 0.500
Ni1 0.500 0.274 0.774
Ni2 0.500 0.726 0.226
Ni3 0.726 0.500 0.226
Ni4 0.274 0.500 0.774
B1 0.111 0.276 0.387
B2 0.889 0.724 0.613
B3 0.889 0.276 0.165
B4 0.111 0.724 0.835
B5 0.724 0.889 0.613
B6 0.276 0.111 0.387
B7 0.724 0.111 0.835
B8 0.276 0.889 0.165
B9 0.423 0.423 0.538
B10 0.884 0.884 0.462
B11 0.577 0.116 0.000
B12 0.116 0.577 0.000
B13 0.577 0.577 0.462
B14 0.116 0.116 0.538
B15 0.884 0.422 0.000
B16 0.422 0.884 0.000

A relaxed Pr3Sn13Rh4 crystal. Source: Materials Project, functional r2SCAN.

Cell: 9.780 9.780 9.780 Å, 90.00 90.00 90.00°
Atoms (fractional coordinates):
Pr1 0.000 0.500 0.750
Pr2 0.250 0.000 0.500
Pr3 0.000 0.500 0.250
Pr4 0.750 0.000 0.500
Pr5 0.500 0.250 0.000
Pr6 0.500 0.750 0.000
Sn1 0.346 0.500 0.806
Sn2 0.000 0.846 0.694
Sn3 0.306 0.000 0.154
Sn4 0.154 0.306 0.000
Sn5 0.694 0.000 0.846
Sn6 0.000 0.000 0.000
Sn7 0.654 0.500 0.806
Sn8 0.194 0.654 0.500
Sn9 0.806 0.654 0.500
Sn10 0.000 0.846 0.306
Sn11 0.500 0.806 0.346
Sn12 0.346 0.500 0.194
Sn13 0.846 0.694 0.000
Sn14 0.306 0.000 0.846
Sn15 0.500 0.194 0.654
Sn16 0.500 0.194 0.346
Sn17 0.846 0.306 0.000
Sn18 0.654 0.500 0.194
Sn19 0.806 0.346 0.500
Sn20 0.500 0.500 0.500
Sn21 0.194 0.346 0.500
Sn22 0.000 0.154 0.306
Sn23 0.000 0.154 0.694
Sn24 0.500 0.806 0.654
Sn25 0.694 0.000 0.154
Sn26 0.154 0.694 0.000
Rh1 0.750 0.750 0.250
Rh2 0.250 0.750 0.250
Rh3 0.750 0.250 0.250
Rh4 0.250 0.250 0.750
Rh5 0.750 0.250 0.750
Rh6 0.750 0.750 0.750
Rh7 0.250 0.250 0.250
Rh8 0.250 0.750 0.750

A relaxed Ba2SrI6 crystal. Source: Materials Project, functional r2SCAN.

Output
E above lowest polymorph, meV/atom: 33

Cell: 14.523 14.523 7.822 Å, 90.00 90.00 120.00°
Atoms (fractional coordinates):
Ba1 0.000 0.639 0.000
Ba2 0.000 0.305 0.500
Ba3 0.361 0.361 0.000
Ba4 0.305 0.000 0.500
Ba5 0.695 0.695 0.500
Ba6 0.639 0.000 0.000
Sr1 0.333 0.667 0.496
Sr2 0.000 0.000 0.000
Sr3 0.667 0.333 0.504
I1 0.085 0.871 0.761
I2 0.229 0.775 0.252
I3 0.122 0.538 0.742
I4 0.416 0.878 0.742
I5 0.225 0.453 0.252
I6 0.129 0.214 0.761
I7 0.547 0.771 0.252
I8 0.214 0.129 0.239
I9 0.462 0.584 0.742
I10 0.786 0.915 0.761
I11 0.453 0.225 0.748
I12 0.584 0.462 0.258
I13 0.538 0.122 0.258
I14 0.771 0.547 0.748
I15 0.915 0.786 0.239
I16 0.775 0.229 0.748
I17 0.878 0.416 0.258
I18 0.871 0.085 0.239

A relaxed Mn2TeO6 crystal. Source: Materials Project, functional r2SCAN.

Cell: 4.606 4.606 9.078 Å, 90.00 90.00 90.00°
Atoms (fractional coordinates):
Mn1 0.000 0.000 0.666
Mn2 0.500 0.500 0.834
Mn3 0.000 0.000 0.334
Mn4 0.500 0.500 0.166
Te1 0.000 0.000 0.000
Te2 0.500 0.500 0.500
O1 0.299 0.299 0.000
O2 0.701 0.701 0.000
O3 0.201 0.799 0.500
O4 0.799 0.201 0.500
O5 0.309 0.309 0.337
O6 0.692 0.691 0.663
O7 0.691 0.691 0.337
O8 0.191 0.809 0.837
O9 0.191 0.809 0.163
O10 0.309 0.308 0.663
O11 0.809 0.191 0.163
O12 0.809 0.191 0.837

A relaxed LaYNi10 crystal. Source: Materials Project, functional r2SCAN.

Cell: 3.926 4.897 8.484 Å, 90.00 90.00 90.00°
Atoms (fractional coordinates):
La1 0.000 0.500 0.000
Y1 0.000 0.000 0.500
Ni1 0.000 0.500 0.337
Ni2 0.000 0.000 0.830
Ni3 0.000 0.000 0.170
Ni4 0.000 0.500 0.663
Ni5 0.500 0.500 0.500
Ni6 0.500 0.000 0.000
Ni7 0.500 0.753 0.256
Ni8 0.500 0.247 0.744
Ni9 0.500 0.247 0.256
Ni10 0.500 0.753 0.744

A relaxed K2MgF4 crystal. Source: Materials Project, functional r2SCAN.

Cell: 3.954 3.954 7.131 Å, 106.09 106.09 90.00°
Atoms (fractional coordinates):
K1 0.648 0.648 0.295
K2 0.352 0.352 0.705
Mg1 0.000 0.000 0.000
F1 0.000 0.500 0.000
F2 0.500 0.000 0.000
F3 0.848 0.848 0.695
F4 0.152 0.152 0.305

A relaxed Ga crystal. Source: Materials Project, functional r2SCAN.

Output
E above lowest polymorph, meV/atom: 0

Cell: 4.398 4.398 4.556 Å, 90.00 90.00 119.49°
Atoms (fractional coordinates):
Ga1 0.156 0.844 0.915
Ga2 0.344 0.656 0.415
Ga3 0.844 0.156 0.085
Ga4 0.656 0.344 0.585

no.,formation energy from the elements (eV per atom)
1,-1.268
2,-3.620
3,-0.855
4,-3.789
5,-2.407
6,-2.165
7,-1.295
8,-1.700
9,-2.309
10,-0.078
11,-0.536
12,-0.586
13,-1.967
14,-1.709
15,-0.264
16,-3.385
17,0.000